A relaxed Tm2MnGe4O12 crystal. Source: the Materials Project, functional GGA+U.

Energy with MP2020 corrections ... -293.87 eV per cell
Space group ... No. 67
E_form ... -2682 meV per atom

Unit cell a=4.9988 b=9.9575 c=9.9575 alpha=90.48 beta=90.00 gamma=90.00
Atoms (fractional coordinates):
Tm 0.5000 0.0000 0.5000
Tm 0.5000 0.5000 0.0000
Tm 0.5000 0.7500 0.7500
Tm 0.5000 0.2500 0.2500
Mn 0.5000 0.5000 0.5000
Mn 0.5000 0.0000 0.0000
Ge 0.9962 0.7471 0.4800
Ge 0.0038 0.2529 0.5200
Ge 0.0038 0.2471 0.9800
Ge 0.9962 0.7529 0.0200
Ge 0.0038 0.4800 0.7471
Ge 0.9962 0.5200 0.2529
Ge 0.9962 0.9800 0.2471
Ge 0.0038 0.0200 0.7529
O 0.2617 0.5661 0.6683
O 0.2555 0.0640 0.3310
O 0.2555 0.4360 0.1690
O 0.2617 0.9339 0.8317
O 0.7383 0.4339 0.3317
O 0.7445 0.9360 0.6690
O 0.7445 0.5640 0.8310
O 0.7383 0.0661 0.1683
O 0.7383 0.6683 0.5661
O 0.7445 0.3310 0.0640
O 0.7445 0.1690 0.4360
O 0.7383 0.8317 0.9339
O 0.2617 0.3317 0.4339
O 0.2555 0.6690 0.9360
O 0.2555 0.8310 0.5640
O 0.2617 0.1683 0.0661
O 0.8314 0.3695 0.6305
O 0.8282 0.8739 0.3739
O 0.8282 0.6261 0.1261
O 0.8314 0.1305 0.8695
O 0.1686 0.6305 0.3695
O 0.1718 0.1261 0.6261
O 0.1718 0.3739 0.8739
O 0.1686 0.8695 0.1305

***

A relaxed Y2MnGe4O12 crystal. Source: the Materials Project, functional GGA+U.

Energy with MP2020 corrections ... -300.80 eV per cell
Space group ... No. 67
E_form ... -2655 meV per atom

Unit cell a=10.0358 b=10.0358 c=5.0309 alpha=90.00 beta=90.00 gamma=90.60
Atoms (fractional coordinates):
Y 0.0000 0.5000 0.5000
Y 0.5000 0.0000 0.5000
Y 0.7500 0.7500 0.5000
Y 0.2500 0.2500 0.5000
Mn 0.5000 0.5000 0.5000
Mn 0.0000 0.0000 0.5000
Ge 0.7463 0.4780 0.9956
Ge 0.2537 0.5220 0.0044
Ge 0.2463 0.9780 0.0044
Ge 0.7537 0.0220 0.9956
Ge 0.4780 0.7463 0.0044
Ge 0.5220 0.2537 0.9956
Ge 0.9780 0.2463 0.9956
Ge 0.0220 0.7537 0.0044
O 0.5630 0.6683 0.2605
O 0.0630 0.3295 0.2520
O 0.4370 0.1705 0.2520
O 0.9370 0.8317 0.2605
O 0.4370 0.3317 0.7395
O 0.9370 0.6705 0.7480
O 0.5630 0.8295 0.7480
O 0.0630 0.1683 0.7395
O 0.6683 0.5630 0.7395
O 0.3295 0.0630 0.7480
O 0.1705 0.4370 0.7480
O 0.8317 0.9370 0.7395
O 0.3317 0.4370 0.2605
O 0.6705 0.9370 0.2520
O 0.8295 0.5630 0.2520
O 0.1683 0.0630 0.2605
O 0.3693 0.6307 0.8306
O 0.8719 0.3719 0.8320
O 0.6281 0.1281 0.8320
O 0.1307 0.8693 0.8306
O 0.6307 0.3693 0.1694
O 0.1281 0.6281 0.1680
O 0.3719 0.8719 0.1680
O 0.8693 0.1307 0.1694

***

A relaxed MnZnGe2O6 crystal. Source: the Materials Project, functional GGA+U.

Relative energy among the computed polymorphs ... 0 meV per atom
Energy with MP2020 corrections ... -279.39 eV per cell
Space group ... No. 2
E_form ... -2049 meV per atom

Unit cell a=5.5562 b=7.0133 c=13.7744 alpha=92.35 beta=98.89 gamma=75.89
Atoms (fractional coordinates):
Mn 0.3016 0.8976 0.5515
Mn 0.1983 0.1024 0.9486
Mn 0.8009 0.8977 0.0512
Mn 0.6992 0.1018 0.4489
Zn 0.1330 0.2344 0.3827
Zn 0.6323 0.2347 0.8827
Zn 0.3668 0.7656 0.1173
Zn 0.8676 0.7652 0.6173
Ge 0.8393 0.3903 0.1093
Ge 0.3397 0.3902 0.6093
Ge 0.0750 0.7812 0.3050
Ge 0.5750 0.7812 0.8050
Ge 0.6607 0.6097 0.3907
Ge 0.1605 0.6098 0.8906
Ge 0.4249 0.2189 0.1950
Ge 0.9251 0.2189 0.6950
O 0.6985 0.3145 0.2047
O 0.1987 0.3146 0.7047
O 0.3491 0.5904 0.3426
O 0.8488 0.5903 0.8428
O 0.8016 0.6854 0.2954
O 0.3016 0.6854 0.7953
O 0.1509 0.4097 0.1572
O 0.6513 0.4098 0.6572
O 0.4181 0.1406 0.3137
O 0.9176 0.1407 0.8136
O 0.8256 0.3723 0.4297
O 0.3250 0.3723 0.9297
O 0.0818 0.8594 0.1862
O 0.5826 0.8593 0.6864
O 0.6742 0.6277 0.0703
O 0.1750 0.6277 0.5703
O 0.8660 0.2032 0.0177
O 0.3667 0.2030 0.5179
O 0.0503 0.9643 0.3986
O 0.5498 0.9644 0.8985
O 0.6339 0.7968 0.4823
O 0.1334 0.7970 0.9821
O 0.4496 0.0358 0.1014
O 0.9501 0.0357 0.6015

***

A relaxed MnZnGe2O6 crystal. Source: the Materials Project, functional GGA+U.

Relative energy among the computed polymorphs ... 5 meV per atom
Energy with MP2020 corrections ... -279.18 eV per cell
Space group ... No. 14
E_form ... -2044 meV per atom

Unit cell a=9.4892 b=5.5261 c=9.8779 alpha=77.69 beta=90.00 gamma=90.00
Atoms (fractional coordinates):
Mn 0.6503 0.0368 0.2444
Mn 0.1503 0.4632 0.7556
Mn 0.3497 0.9632 0.7556
Mn 0.8497 0.5368 0.2444
Zn 0.4984 0.5448 0.2457
Zn 0.9984 0.9552 0.7543
Zn 0.5016 0.4552 0.7543
Zn 0.0016 0.0448 0.2457
Ge 0.3351 0.1898 0.0575
Ge 0.8351 0.3102 0.9425
Ge 0.6649 0.8102 0.9425
Ge 0.1649 0.6898 0.0575
Ge 0.3404 0.7503 0.4552
Ge 0.8404 0.7497 0.5448
Ge 0.6596 0.2497 0.5448
Ge 0.1596 0.2503 0.4552
O 0.2764 0.4978 0.3858
O 0.7764 0.0022 0.6142
O 0.7236 0.5022 0.6142
O 0.2236 0.9978 0.3858
O 0.3152 0.8555 0.1061
O 0.8152 0.6445 0.8939
O 0.6848 0.1445 0.8939
O 0.1848 0.3555 0.1061
O 0.9962 0.2858 0.3713
O 0.4962 0.2142 0.6287
O 0.0038 0.7142 0.6287
O 0.5038 0.7858 0.3713
O 0.0196 0.7761 0.1437
O 0.5196 0.7239 0.8563
O 0.9804 0.2239 0.8563
O 0.4804 0.2761 0.1437
O 0.3402 0.2534 0.8741
O 0.8402 0.2466 0.1259
O 0.6598 0.7466 0.1259
O 0.1598 0.7534 0.8741
O 0.3386 0.6813 0.6374
O 0.8386 0.8187 0.3626
O 0.6614 0.3187 0.3626
O 0.1614 0.1813 0.6374